[1]
Ba2YMgRuO6 | the Materials Project | GGA-PBE | optimized geometry; ΔE to the lowest computed polymorph = 0 meV/atom; volume = 173.2 Å³/cell; formation energy = -2512 meV/atom
1.0
5.1660 -2.9873 0.0000
5.1660 2.9873 0.0000
-3.4197 0.0000 5.6125
Ba Y Mg Ru O
2 1 1 1 6
Direct
0.0000 0.0000 0.0000
0.5420 0.5420 0.6234
0.7927 0.7927 0.3763
0.1748 0.1748 0.5167
0.3208 0.3208 0.9606
0.0624 0.0624 0.6727
0.0628 0.5528 0.6752
0.0802 0.5443 0.1705
0.5443 0.0802 0.1705
0.5458 0.5458 0.1719
0.5528 0.0628 0.6752

[2]
Si | the Materials Project | GGA-PBE | optimized geometry; ΔE to the lowest computed polymorph = 349 meV/atom; volume = 1793.8 Å³/cell; formation energy = 349 meV/atom
1.0
12.3364 0.0000 0.0000
2.7864 12.2235 0.0000
3.5556 1.7618 11.8954
Si
100
Direct
0.0000 0.0000 0.0000
0.0008 0.0552 0.5731
0.0206 0.3057 0.0221
0.0331 0.8087 0.7583
0.0354 0.4147 0.7096
0.0417 0.7122 0.2251
0.0496 0.5635 0.5516
0.0578 0.9013 0.1620
0.0633 0.6410 0.0583
0.0767 0.8138 0.9304
0.0860 0.1409 0.2674
0.0901 0.4258 0.1345
0.1223 0.1027 0.8505
0.1362 0.2949 0.8382
0.1388 0.0997 0.6569
0.1595 0.3296 0.4360
0.1693 0.5329 0.7617
0.1791 0.7904 0.4361
0.1798 0.1308 0.4121
0.1848 0.1845 0.0761
0.1908 0.7061 0.6275
0.1958 0.6599 0.3153
0.2202 0.5231 0.9438
0.2266 0.2649 0.6043
0.2426 0.4959 0.4391
0.2460 0.3837 0.2291
0.2562 0.8862 0.1016
0.2833 0.8228 0.8970
0.2997 0.8962 0.2905
0.3021 0.3267 0.0086
0.3120 0.0011 0.7936
0.3222 0.7540 0.7113
0.3233 0.4204 0.6174
0.3256 0.9419 0.6212
0.3354 0.3169 0.8082
0.3400 0.1991 0.2692
0.3507 0.9847 0.4222
0.3546 0.0382 0.0179
0.3595 0.7097 0.1623
0.3862 0.6048 0.5070
0.4026 0.5318 0.9685
0.4110 0.4731 0.1668
0.4209 0.1208 0.8205
0.4248 0.1906 0.5536
0.4440 0.7840 0.4360
0.4521 0.0897 0.1295
0.4587 0.7067 0.9469
0.4610 0.5143 0.3329
0.4788 0.4460 0.7989
0.4851 0.2137 0.3518
0.4872 0.6033 0.6517
0.4957 0.7874 0.2331
0.5008 0.2475 0.0037
0.5238 0.3308 0.5759
0.5249 0.9975 0.5761
0.5358 0.8823 0.9699
0.5524 0.0211 0.3681
0.5579 0.9172 0.7646
0.5652 0.7264 0.7424
0.5739 0.8059 0.5410
0.5826 0.3366 0.0992
0.5832 0.9440 0.1975
0.5848 0.3474 0.3749
0.5971 0.1727 0.6931
0.6079 0.6087 0.2122
0.6304 0.6147 0.0119
0.6550 0.1949 0.8501
0.6842 0.9962 0.9157
0.6846 0.3945 0.7791
0.6868 0.5454 0.5232
0.7168 0.0690 0.5474
0.7211 0.4383 0.9544
0.7237 0.5848 0.6960
0.7276 0.1990 0.1667
0.7494 0.7550 0.9543
0.7502 0.9588 0.7157
0.7547 0.5775 0.3112
0.7655 0.0368 0.2960
0.7702 0.3317 0.2473
0.7705 0.7233 0.4892
0.7829 0.9016 0.1796
0.8005 0.3656 0.5921
0.8385 0.7340 0.2917
0.8448 0.4361 0.0715
0.8458 0.7717 0.7569
0.8491 0.1940 0.5180
0.8527 0.9013 0.9811
0.8554 0.1765 0.8397
0.8645 0.5257 0.7972
0.8796 0.6189 0.0493
0.8908 0.1820 0.0147
0.9112 0.9961 0.7713
0.9161 0.7389 0.5695
0.9236 0.2739 0.3317
0.9376 0.4640 0.3010
0.9642 0.0048 0.3084
0.9668 0.2637 0.6738
0.9732 0.4444 0.4793
0.9777 0.6216 0.8541
0.9982 0.9029 0.4797

[3]
BaReH9 | the Materials Project | GGA-PBE | optimized geometry; ΔE to the lowest computed polymorph = 233 meV/atom; volume = 200.6 Å³/cell; formation energy = -188 meV/atom
1.0
3.8089 0.0000 0.0000
0.0000 10.0610 0.0000
-0.2458 0.0000 5.2354
Ba Re H
2 2 18
Direct
0.0000 0.0000 0.0000
0.0000 0.5000 0.0000
0.4344 0.2500 0.5305
0.5656 0.7500 0.4695
0.0132 0.7500 0.8760
0.0553 0.1631 0.5384
0.0553 0.3369 0.5384
0.1327 0.7500 0.0020
0.3929 0.2500 0.8489
0.4797 0.1403 0.2745
0.4797 0.3597 0.2745
0.4968 0.5947 0.3445
0.4968 0.9053 0.3445
0.5032 0.0947 0.6555
0.5032 0.4053 0.6555
0.5203 0.6403 0.7255
0.5203 0.8597 0.7255
0.6071 0.7500 0.1511
0.8673 0.2500 0.9980
0.9447 0.6631 0.4616
0.9447 0.8369 0.4616
0.9868 0.2500 0.1240

[4]
Mg10Si3O14F4 | the Materials Project | GGA-PBE | optimized geometry; volume = 628.6 Å³/cell; formation energy = -3286 meV/atom
1.0
5.0998 0.0000 0.0000
0.0000 14.1003 0.0000
0.0000 0.0000 8.7415
Mg Si O F
20 6 28 8
Direct
0.0000 0.0000 0.1534
0.0000 0.0000 0.8466
0.0000 0.5000 0.1830
0.0000 0.5000 0.8170
0.1525 0.1756 0.3203
0.1525 0.1756 0.6797
0.1661 0.3288 0.0000
0.3339 0.8288 0.5000
0.3475 0.6756 0.1797
0.3475 0.6756 0.8203
0.5000 0.0000 0.3170
0.5000 0.0000 0.6830
0.5000 0.5000 0.3466
0.5000 0.5000 0.6534
0.6525 0.3244 0.1797
0.6525 0.3244 0.8203
0.6661 0.1712 0.5000
0.8339 0.6712 0.0000
0.8475 0.8244 0.3203
0.8475 0.8244 0.6797
0.0000 0.0000 0.5000
0.0088 0.6239 0.5000
0.4912 0.1239 0.0000
0.5000 0.5000 0.0000
0.5088 0.8761 0.0000
0.9912 0.3761 0.5000
0.0081 0.7433 0.5000
0.1452 0.9267 0.3545
0.1452 0.9267 0.6455
0.1709 0.5902 0.3416
0.1709 0.5902 0.6584
0.1918 0.5807 0.0000
0.2136 0.9205 0.0000
0.2864 0.4205 0.5000
0.3082 0.0807 0.5000
0.3291 0.0902 0.1584
0.3291 0.0902 0.8416
0.3548 0.4267 0.1455
0.3548 0.4267 0.8545
0.4919 0.2433 0.0000
0.5081 0.7567 0.0000
0.6452 0.5733 0.1455
0.6452 0.5733 0.8545
0.6709 0.9098 0.1584
0.6709 0.9098 0.8416
0.6918 0.9193 0.5000
0.7136 0.5795 0.5000
0.7864 0.0795 0.0000
0.8082 0.4193 0.0000
0.8291 0.4098 0.3416
0.8291 0.4098 0.6584
0.8548 0.0733 0.3545
0.8548 0.0733 0.6455
0.9919 0.2567 0.5000
0.0085 0.7432 0.1640
0.0085 0.7432 0.8360
0.4915 0.2432 0.3360
0.4915 0.2432 0.6640
0.5085 0.7568 0.3360
0.5085 0.7568 0.6640
0.9915 0.2568 0.1640
0.9915 0.2568 0.8360

[5]
Tm2Ni12As7 | the Materials Project | GGA-PBE | optimized geometry; volume = 288.2 Å³/cell; formation energy = -526 meV/atom
1.0
9.3523 0.0000 0.0000
-4.6762 8.0994 0.0000
0.0000 0.0000 3.8047
Tm Ni As
2 12 7
Direct
0.0000 0.0000 0.0000
0.3333 0.6667 0.5000
0.0447 0.7590 0.5000
0.1074 0.3898 0.0000
0.2410 0.2857 0.5000
0.2824 0.8926 0.0000
0.3861 0.2048 0.0000
0.5494 0.1205 0.5000
0.5711 0.4506 0.5000
0.6102 0.7176 0.0000
0.7143 0.9553 0.5000
0.7952 0.1813 0.0000
0.8187 0.6139 0.0000
0.8795 0.4289 0.5000
0.0708 0.6171 0.0000
0.2566 0.0355 0.5000
0.3829 0.4537 0.0000
0.5463 0.9292 0.0000
0.6667 0.3333 0.0000
0.7789 0.7434 0.5000
0.9645 0.2211 0.5000

[6]
SrAlGa | the Materials Project | GGA-PBE | optimized geometry; volume = 81.2 Å³/cell; formation energy = -370 meV/atom
1.0
4.4042 0.0000 0.0000
-2.2021 3.8141 0.0000
0.0000 0.0000 4.8325
Sr Al Ga
1 1 1
Direct
0.0000 0.0000 0.0000
0.3333 0.6667 0.5000
0.6667 0.3333 0.5000

[7]
CsMg6W | the Materials Project | GGA-PBE | optimized geometry; ΔE to the lowest computed polymorph = 0 meV/atom; volume = 407.8 Å³/cell; formation energy = 544 meV/atom
1.0
-2.8207 -2.9367 1.0206
1.3703 -4.3394 -8.6985
7.1972 -5.5556 3.9053
Mg W Cs
12 2 2
Direct
0.0000 0.0789 0.5000
0.0000 0.1746 0.0000
0.0000 0.8749 0.7028
0.0000 0.8749 0.2972
0.0000 0.3749 0.2028
0.0000 0.6746 0.5000
0.0000 0.3749 0.7972
0.5000 0.1199 0.7444
0.0000 0.5789 0.0000
0.5000 0.6199 0.2444
0.5000 0.1199 0.2556
0.5000 0.6199 0.7556
0.5000 0.8802 0.5000
0.5000 0.3802 0.0000
0.5000 0.3767 0.5000
0.5000 0.8767 0.0000

[8]
Ca21Mn4Sb18 | the Materials Project | GGA-PBE | optimized geometry; volume = 2508.8 Å³/cell; formation energy = -949 meV/atom
1.0
8.7604 -8.3876 0.0000
8.7604 8.3876 0.0000
-0.6047 0.0000 17.0718
Ca Mn Sb
42 8 36
Direct
0.0046 0.6785 0.0640
0.0099 0.7577 0.4431
0.0712 0.8225 0.8818
0.0756 0.4324 0.7435
0.0964 0.0964 0.7551
0.0991 0.7575 0.6584
0.1775 0.9288 0.1182
0.2268 0.4951 0.5577
0.2337 0.2337 0.4118
0.2423 0.9901 0.5569
0.2425 0.9009 0.3416
0.2468 0.2468 0.0769
0.2499 0.5795 0.3544
0.2592 0.5746 0.1497
0.2692 0.5082 0.9234
0.3215 0.9954 0.9360
0.4205 0.7501 0.6456
0.4254 0.7408 0.8503
0.4324 0.0756 0.7435
0.4918 0.7308 0.0766
0.4951 0.2268 0.5577
0.5049 0.7732 0.4423
0.5082 0.2692 0.9234
0.5676 0.9244 0.2565
0.5746 0.2592 0.1497
0.5795 0.2499 0.3544
0.6785 0.0046 0.0640
0.7308 0.4918 0.0766
0.7408 0.4254 0.8503
0.7501 0.4205 0.6456
0.7532 0.7532 0.9231
0.7575 0.0991 0.6584
0.7577 0.0099 0.4431
0.7663 0.7663 0.5882
0.7732 0.5049 0.4423
0.8225 0.0712 0.8818
0.9009 0.2425 0.3416
0.9036 0.9036 0.2449
0.9244 0.5676 0.2565
0.9288 0.1775 0.1182
0.9901 0.2423 0.5569
0.9954 0.3215 0.9360
0.1232 0.3485 0.2508
0.3423 0.3423 0.7419
0.3485 0.1232 0.2508
0.4981 0.4981 0.7050
0.5019 0.5019 0.2950
0.6515 0.8768 0.7492
0.6577 0.6577 0.2581
0.8768 0.6515 0.7492
0.0360 0.0360 0.4223
0.0396 0.4249 0.1104
0.0484 0.4366 0.3994
0.0755 0.0755 0.9648
0.1005 0.7394 0.2435
0.1196 0.1196 0.2428
0.2386 0.2386 0.6164
0.2536 0.2536 0.8740
0.2552 0.7448 0.0000
0.2556 0.7444 0.5000
0.2606 0.8995 0.7565
0.2872 0.5691 0.7391
0.3503 0.3503 0.2513
0.4249 0.0396 0.1104
0.4309 0.7128 0.2609
0.4364 0.4364 0.4413
0.4366 0.0484 0.3994
0.4503 0.4503 0.0665
0.5497 0.5497 0.9335
0.5634 0.9516 0.6006
0.5636 0.5636 0.5587
0.5691 0.2872 0.7391
0.5751 0.9604 0.8896
0.6497 0.6497 0.7487
0.7128 0.4309 0.2609
0.7394 0.1005 0.2435
0.7444 0.2556 0.5000
0.7448 0.2552 0.0000
0.7464 0.7464 0.1260
0.7614 0.7614 0.3836
0.8804 0.8804 0.7572
0.8995 0.2606 0.7565
0.9245 0.9245 0.0352
0.9516 0.5634 0.6006
0.9604 0.5751 0.8896
0.9640 0.9640 0.5777

What did the seventh record say?
CsMg6W | the Materials Project | GGA-PBE | optimized geometry; ΔE to the lowest computed polymorph = 0 meV/atom; volume = 407.8 Å³/cell; formation energy = 544 meV/atom
1.0
-2.8207 -2.9367 1.0206
1.3703 -4.3394 -8.6985
7.1972 -5.5556 3.9053
Mg W Cs
12 2 2
Direct
0.0000 0.0789 0.5000
0.0000 0.1746 0.0000
0.0000 0.8749 0.7028
0.0000 0.8749 0.2972
0.0000 0.3749 0.2028
0.0000 0.6746 0.5000
0.0000 0.3749 0.7972
0.5000 0.1199 0.7444
0.0000 0.5789 0.0000
0.5000 0.6199 0.2444
0.5000 0.1199 0.2556
0.5000 0.6199 0.7556
0.5000 0.8802 0.5000
0.5000 0.3802 0.0000
0.5000 0.3767 0.5000
0.5000 0.8767 0.0000

Copy entry 5 word for word.
Tm2Ni12As7 | the Materials Project | GGA-PBE | optimized geometry; volume = 288.2 Å³/cell; formation energy = -526 meV/atom
1.0
9.3523 0.0000 0.0000
-4.6762 8.0994 0.0000
0.0000 0.0000 3.8047
Tm Ni As
2 12 7
Direct
0.0000 0.0000 0.0000
0.3333 0.6667 0.5000
0.0447 0.7590 0.5000
0.1074 0.3898 0.0000
0.2410 0.2857 0.5000
0.2824 0.8926 0.0000
0.3861 0.2048 0.0000
0.5494 0.1205 0.5000
0.5711 0.4506 0.5000
0.6102 0.7176 0.0000
0.7143 0.9553 0.5000
0.7952 0.1813 0.0000
0.8187 0.6139 0.0000
0.8795 0.4289 0.5000
0.0708 0.6171 0.0000
0.2566 0.0355 0.5000
0.3829 0.4537 0.0000
0.5463 0.9292 0.0000
0.6667 0.3333 0.0000
0.7789 0.7434 0.5000
0.9645 0.2211 0.5000

Question: Which formula does entry 3 have?
Answer: BaReH9

Question: The highest formation energy belongs to which entry?
Answer: CsMg6W